Entry 1:
PmZr: optimized geometry, GGA-PBE.

Values from the calculation:
- calculated volume (Å³/f.u.) = 55.8
- mass density (g/cm3) = 7.03
- formation energy from the elements (eV/f.u.) = 0.4

Lattice parameters (Å, degrees): 3.4011 3.4011 5.5680 90.00 90.00 120.00
With the nearest neighbours (Å) after each atom.
Space group P-6m2 (No. 187)
Unique sites:
Pm1 0.0000 0.0000 0.0000 [1 per cell]  6 Pm 3.40, 6 Zr 3.41
Zr1 0.6667 0.3333 0.5000 [1 per cell]  6 Zr 3.40, 6 Pm 3.41

Entry 2:
Pm3Zr: optimized geometry, GGA-PBE.

Values from the calculation:
- calculated volume (Å³/f.u.) = 123.7
- mass density (g/cm3) = 7.07
- formation energy from the elements (eV/f.u.) = 0.6
- excess energy over the best structure of this formula in the dataset (meV/atom) = 6

Lattice parameters (Å, degrees): 4.9896 4.9896 9.9357 90.00 90.00 90.00
With the nearest neighbours (Å) after each atom.
Space group I4/mmm (No. 139)
Unique sites:
Pm1 0.0000 0.0000 0.0000 [2 per cell]  8 Pm 3.52, 4 Zr 3.53
Pm2 0.0000 0.5000 0.2500 [4 per cell]  4 Zr 3.52, 8 Pm 3.52-3.53
Zr1 0.0000 0.0000 0.5000 [2 per cell]  12 Pm 3.52-3.53

Entry 3:
Pr: optimized geometry, GGA-PBE.

Values from the calculation:
- calculated volume (Å³/f.u.) = 36.1
- mass density (g/cm3) = 6.48
- formation energy from the elements (eV/f.u.) = 0.0
- excess energy over the best structure of this formula in the dataset (meV/atom) = 14

Lattice parameters (Å, degrees): 3.7132 3.7132 9.0653 90.00 90.00 120.00
With the nearest neighbours (Å) after each atom.
Space group P3_221 (No. 154)
Unique sites:
Pr1 0.0000 0.3191 0.3333 [3 per cell]  12 Pr 3.65-3.73

Entry 4:
Pr: optimized geometry, GGA-PBE.

Values from the calculation:
- calculated volume (Å³/f.u.) = 36.6
- mass density (g/cm3) = 6.39
- formation energy from the elements (eV/f.u.) = 0.0
- excess energy over the best structure of this formula in the dataset (meV/atom) = 4

Lattice parameters (Å, degrees): 3.7434 3.7434 27.1636 90.00 90.00 120.00
With the nearest neighbours (Å) after each atom.
Space group R-3m (No. 166, hexagonal axes)
Unique sites:
Pr1 0.0000 0.0000 0.0000 [3 per cell]  12 Pr 3.70-3.74
Pr2 0.0000 0.0000 0.2227 [6 per cell]  12 Pr 3.70-3.74

Entry 5:
Pr: optimized geometry, GGA-PBE.

Values from the calculation:
- calculated volume (Å³/f.u.) = 36.5
- mass density (g/cm3) = 6.41
- formation energy from the elements (eV/f.u.) = 0.0
- excess energy over the best structure of this formula in the dataset (meV/atom) = 32

Lattice parameters (Å, degrees): 3.7118 6.4806 6.0730 90.00 90.00 90.00
With the nearest neighbours (Å) after each atom.
Space group Cmcm (No. 63)
Unique sites:
Pr1 0.0000 0.1527 0.2500 [4 per cell]  12 Pr 3.62-3.78

Entry 6:
Pr: optimized geometry, GGA-PBE.

Values from the calculation:
- calculated volume (Å³/f.u.) = 36.1
- mass density (g/cm3) = 6.48
- formation energy from the elements (eV/f.u.) = 0.1
- excess energy over the best structure of this formula in the dataset (meV/atom) = 86

Lattice parameters (Å, degrees): 4.3805 4.3805 3.7644 90.00 90.00 90.00
With the nearest neighbours (Å) after each atom.
Space group I4/mmm (No. 139)
Unique sites:
Pr1 0.0000 0.0000 0.0000 [2 per cell]  10 Pr 3.62-3.76